(1)
Here is an optimized crystal structure of In3Au from the Materials Project. Energies are from PBE-GGA.

Geometry as POSCAR:
```
In3Au
1.0
6.893 0.000 0.000
-3.447 5.970 0.000
0.000 0.000 4.895
In Au
6 2
Cartesian
0.000 2.090 1.224
-1.636 4.925 1.224
1.810 1.045 3.671
1.636 4.925 1.224
5.083 1.045 3.671
3.447 3.880 3.671
0.000 3.980 3.671
3.447 1.990 1.224
```

Summary:
Energy relative to the elements   -0.0099 eV per atom
Symmetry   No. 194
Electronic total energy   -2.892 eV/atom
V   101 Å³/f.u.


(2)
Here is an optimized crystal structure of Hg from the Materials Project. Energies are from PBE-GGA.

Geometry as POSCAR:
```
Hg
1.0
3.071 -1.816 0.000
3.071 1.816 0.000
-2.509 0.000 8.445
Hg
3
Cartesian
0.000 0.000 0.000
-0.221 0.000 5.605
3.853 0.000 2.840
```

Summary:
Energy relative to the elements   0.0013 eV per atom
Symmetry   No. 12
Electronic total energy   -0.302 eV/atom
V   31 Å³/f.u.


(3)
Here is an optimized crystal structure of Nb5Te4 from the Materials Project. Energies are from PBE-GGA.

Geometry as POSCAR:
```
Nb5Te4
1.0
-5.218 5.218 1.845
5.218 -5.218 1.845
5.218 5.218 -1.845
Nb Te
5 4
Cartesian
0.000 0.000 0.000
3.967 3.248 0.000
1.970 -1.251 1.845
3.248 6.470 0.000
1.251 1.970 1.845
2.975 0.631 0.000
4.587 -2.244 1.845
0.631 7.462 0.000
2.244 4.587 1.845
```

Summary:
Energy relative to the elements   -0.5491 eV per atom
MP2020-corrected energy   -68.02 eV/cell
Symmetry   No. 87
Electronic total energy   -7.370 eV/atom
V   201 Å³/f.u.


(4)
Here is an optimized crystal structure of GePb3 from the Materials Project. Energies are from PBE-GGA.

Geometry as POSCAR:
```
GePb3
1.0
-2.438 2.438 4.931
2.438 -2.438 4.931
2.438 2.438 -4.931
Ge Pb
1 3
Cartesian
0.000 0.000 0.000
2.438 0.000 2.465
0.000 0.000 4.931
0.000 2.438 2.465
```

Summary:
Energy relative to the elements   0.1434 eV per atom
Symmetry   No. 139
Electronic total energy   -3.797 eV/atom
V   117 Å³/f.u.